# 1
The following is a DFT calculation (meta-GGA r2SCAN) of an optimized crystal structure of VBr3.

Unit cell a=10.007 b=9.837 c=3.390 alpha=90.00 beta=90.00 gamma=120.44
Sites, in units of the cell vectors:
1 V 0.333 0.671 0.750
2 V 0.662 0.330 0.250
3 Br 0.225 0.442 0.250
4 Br 0.557 0.774 0.250
5 Br 0.218 0.779 0.250
6 Br 0.783 0.558 0.750
7 Br 0.439 0.220 0.750
8 Br 0.782 0.225 0.750

Summary:
E: -14.51 eV/atom
ρ: 3.36 g/cm3
ΔE_f: -1039.1 meV per atom
spin magnetization: 4.000 μB per cell

***

# 2
The following is a DFT calculation (meta-GGA r2SCAN) of an optimized crystal structure of YBr3.

Unit cell a=9.990 b=9.990 c=3.747 alpha=90.00 beta=90.00 gamma=120.00
Sites, in units of the cell vectors:
1 Y 0.333 0.667 0.750
2 Y 0.667 0.333 0.250
3 Br 0.212 0.423 0.250
4 Br 0.577 0.788 0.250
5 Br 0.212 0.788 0.250
6 Br 0.788 0.577 0.750
7 Br 0.423 0.212 0.750
8 Br 0.788 0.212 0.750

Summary:
E: -17.10 eV/atom
ρ: 3.37 g/cm3
ΔE_f: -2076.0 meV per atom
spin magnetization: 0.000 μB per cell

***

# 3
The following is a DFT calculation (meta-GGA r2SCAN) of an optimized crystal structure of YBr3.

Unit cell a=7.159 b=7.159 c=6.988 alpha=80.24 beta=99.76 gamma=60.20
Sites, in units of the cell vectors:
1 Y 0.167 0.167 0.000
2 Y 0.833 0.833 0.000
3 Br 0.064 0.580 0.758
4 Br 0.420 0.936 0.758
5 Br 0.222 0.778 0.243
6 Br 0.778 0.222 0.757
7 Br 0.580 0.064 0.242
8 Br 0.936 0.420 0.242

Summary:
E: -17.19 eV/atom
ρ: 3.73 g/cm3
ΔE_f: -2163.0 meV per atom
spin magnetization: 0.000 μB per cell

***

# 4
The following is a DFT calculation (meta-GGA r2SCAN) of an optimized crystal structure of YbBr2.

Unit cell a=3.563 b=7.108 c=7.108 alpha=90.00 beta=90.00 gamma=90.00
Sites, in units of the cell vectors:
1 Yb 0.500 0.500 0.500
2 Yb 0.000 0.000 0.000
3 Br 0.500 0.780 0.220
4 Br 0.500 0.220 0.780
5 Br 0.000 0.280 0.280
6 Br 0.000 0.720 0.720

Summary:
E: -22.67 eV/atom
ρ: 6.14 g/cm3
ΔE_f: -1656.4 meV per atom
spin magnetization: 0.301 μB per cell

***

# 5
The following is a DFT calculation (meta-GGA r2SCAN) of an optimized crystal structure of YbBr.

Unit cell a=3.533 b=3.533 c=4.455 alpha=90.00 beta=90.00 gamma=120.00
Sites, in units of the cell vectors:
1 Yb 0.000 0.000 0.000
2 Br 0.333 0.667 0.500

Summary:
E: -26.02 eV/atom
ρ: 8.72 g/cm3
ΔE_f: -1121.1 meV per atom
spin magnetization: 0.000 μB per cell

***

# 6
The following is a DFT calculation (meta-GGA r2SCAN) of an optimized crystal structure of YbBr3.

Unit cell a=7.689 b=7.689 c=7.689 alpha=54.12 beta=54.12 gamma=54.12
Sites, in units of the cell vectors:
1 Yb 0.833 0.833 0.833
2 Yb 0.167 0.167 0.167
3 Br 0.935 0.224 0.580
4 Br 0.580 0.935 0.224
5 Br 0.224 0.580 0.935
6 Br 0.776 0.420 0.065
7 Br 0.420 0.065 0.776
8 Br 0.065 0.776 0.420

Summary:
E: -21.22 eV/atom
ρ: 4.94 g/cm3
ΔE_f: -2146.7 meV per atom
spin magnetization: 0.000 μB per cell

***

# 7
The following is a DFT calculation (meta-GGA r2SCAN) of an optimized crystal structure of YbBr2.

Unit cell a=3.559 b=6.866 c=7.131 alpha=90.00 beta=90.00 gamma=90.00
Sites, in units of the cell vectors:
1 Yb 0.500 0.500 0.500
2 Yb 0.000 0.000 0.000
3 Br 0.500 0.733 0.175
4 Br 0.500 0.267 0.825
5 Br 0.000 0.233 0.325
6 Br 0.000 0.767 0.675

Summary:
E: -22.68 eV/atom
ρ: 6.34 g/cm3
ΔE_f: -1661.6 meV per atom
spin magnetization: 0.162 μB per cell

***

# 8
The following is a DFT calculation (meta-GGA r2SCAN) of an optimized crystal structure of YbBr2.

Unit cell a=6.813 b=6.360 c=8.093 alpha=90.00 beta=90.00 gamma=90.00
Sites, in units of the cell vectors:
1 Yb 0.000 0.250 0.593
2 Yb 0.500 0.750 0.907
3 Yb 0.000 0.750 0.407
4 Yb 0.500 0.250 0.093
5 Br 0.232 0.089 0.861
6 Br 0.268 0.589 0.639
7 Br 0.732 0.911 0.639
8 Br 0.768 0.411 0.861
9 Br 0.768 0.911 0.139
10 Br 0.732 0.411 0.361
11 Br 0.268 0.089 0.361
12 Br 0.232 0.589 0.139

Summary:
E: -22.69 eV/atom
ρ: 6.30 g/cm3
ΔE_f: -1672.7 meV per atom
spin magnetization: 4.000 μB per cell